No. 1
An optimized crystal structure of HoCuMo2O8. Source: the Materials Project, functional GGA+U.

The structure in extended XYZ format:
```
96
Lattice="9.839 0.000 0.000 0.000 14.681 0.000 0.000 0.000 10.266" Properties=species:S:1:pos:R:3 pbc="T T T"
Ho 2.188 1.525 0.354
Ho 2.188 5.815 5.487
Ho 2.732 8.866 0.354
Ho 2.732 13.156 5.487
Ho 7.107 1.525 4.779
Ho 7.107 5.815 9.912
Ho 7.651 8.866 4.779
Ho 7.651 13.156 9.912
Cu 1.864 2.879 7.010
Cu 1.864 4.461 1.877
Cu 3.055 10.220 7.010
Cu 3.055 11.802 1.877
Cu 6.784 2.879 8.389
Cu 6.784 4.461 3.256
Cu 7.975 10.220 8.389
Cu 7.975 11.802 3.256
Mo 9.834 0.829 7.383
Mo 9.834 6.512 2.250
Mo 0.005 8.169 8.016
Mo 0.005 13.852 2.883
Mo 1.659 9.580 4.072
Mo 1.659 12.442 9.205
Mo 3.261 2.240 4.072
Mo 3.261 5.101 9.205
Mo 4.915 0.829 8.016
Mo 4.915 6.512 2.883
Mo 4.924 8.169 7.383
Mo 4.924 13.852 2.250
Mo 6.578 9.580 1.061
Mo 6.578 12.442 6.194
Mo 8.180 2.240 1.061
Mo 8.180 5.101 6.194
O 0.103 2.446 0.898
O 0.103 4.894 6.031
O 0.952 7.699 1.327
O 0.952 14.323 6.460
O 1.023 9.164 9.119
O 1.023 12.858 3.986
O 1.077 1.931 8.429
O 1.077 5.410 3.296
O 1.083 0.027 1.747
O 1.083 7.314 6.880
O 2.062 7.877 4.380
O 2.062 14.145 9.513
O 2.207 9.980 2.387
O 2.207 12.042 7.520
O 2.387 3.360 5.239
O 2.387 3.981 0.106
O 2.532 10.700 5.239
O 2.532 11.321 0.106
O 2.712 2.639 2.387
O 2.712 4.701 7.520
O 2.857 0.537 4.380
O 2.857 6.804 9.513
O 3.837 7.367 1.747
O 3.837 14.655 6.880
O 3.842 9.272 8.429
O 3.842 12.750 3.296
O 3.897 1.823 9.119
O 3.897 5.518 3.986
O 3.968 0.358 1.327
O 3.968 6.982 6.460
O 4.817 9.787 0.898
O 4.817 12.235 6.031
O 5.022 2.446 4.235
O 5.022 4.894 9.368
O 5.871 7.699 3.805
O 5.871 14.323 8.938
O 5.942 9.164 6.280
O 5.942 12.858 1.147
O 5.997 1.931 6.969
O 5.997 5.410 1.837
O 6.002 0.027 3.386
O 6.002 7.314 8.518
O 6.982 7.877 0.752
O 6.982 14.145 5.885
O 7.127 9.980 2.746
O 7.127 12.042 7.879
O 7.307 3.360 10.160
O 7.307 3.981 5.027
O 7.452 10.700 10.160
O 7.452 11.321 5.027
O 7.632 2.639 2.746
O 7.632 4.701 7.879
O 7.777 0.537 0.752
O 7.777 6.804 5.885
O 8.756 7.367 3.386
O 8.756 14.655 8.518
O 8.762 9.272 6.969
O 8.762 12.750 1.837
O 8.816 1.823 6.280
O 8.816 5.518 1.147
O 8.887 0.358 3.805
O 8.887 6.982 8.938
O 9.736 9.787 4.235
O 9.736 12.235 9.368
```

Values from the calculation:
* total moment: 0.00 μB/cell
* raw total energy: -7.116 eV per atom
* energy of formation from the pure elements: -2278 meV per atom
* symmetry: Pbca, No. 61

No. 2
An optimized crystal structure of Ho5CuW8O32. Source: the Materials Project, functional GGA+U.

The structure in extended XYZ format:
```
46
Lattice="9.641 -2.837 0.000 9.641 2.837 0.000 -4.088 0.000 10.856" Properties=species:S:1:pos:R:3 pbc="T T T"
Ho 0.000 0.000 0.000
Ho -0.052 0.117 7.632
Ho 3.552 -0.735 8.585
Ho 11.642 -0.735 2.271
Ho 15.246 0.117 3.225
Cu 7.597 -0.588 5.428
W 5.872 2.148 7.089
W 9.323 2.148 3.767
W 4.101 0.388 5.017
W 3.489 -1.063 0.389
W 7.878 0.031 1.767
W 7.316 0.031 9.090
W 11.093 0.388 5.839
W 11.706 -1.063 10.468
O 0.961 0.547 3.518
O 3.873 1.261 3.329
O 5.638 1.814 5.186
O 6.508 1.616 1.569
O 2.186 0.239 0.798
O 1.845 0.951 8.784
O 5.956 1.688 9.014
O 9.238 1.688 1.843
O 4.856 0.125 0.161
O 4.473 0.541 6.974
O 9.556 1.814 5.670
O 3.637 0.428 10.639
O 8.686 1.616 9.288
O 2.710 -0.753 5.272
O 8.004 0.424 3.635
O 7.190 0.424 7.221
O 11.321 1.261 7.527
O 5.342 -0.882 4.559
O 11.557 0.428 0.218
O 10.722 0.541 3.882
O 13.350 0.951 2.073
O 6.606 -1.219 1.872
O 5.816 -1.039 9.425
O 9.378 -1.039 1.432
O 10.338 0.125 10.695
O 14.234 0.547 7.339
O 9.852 -0.882 6.297
O 13.009 0.239 10.059
O 8.588 -1.219 8.985
O 12.485 -0.753 5.585
O 7.830 -2.497 3.945
O 7.365 -2.497 6.912
```

Values from the calculation:
* total moment: 0.00 μB/cell
* raw total energy: -7.708 eV per atom
* energy of formation from the pure elements: -2675 meV per atom
* symmetry: C2, No. 5

No. 3
An optimized crystal structure of Ho2CuW4O16. Source: the Materials Project, functional GGA+U.

The structure in extended XYZ format:
```
46
Lattice="9.724 -2.825 0.000 9.724 2.825 0.000 -3.960 0.000 10.577" Properties=species:S:1:pos:R:3 pbc="T T T"
Ho 4.658 1.874 5.755
Ho 8.850 1.874 10.110
Ho 6.638 -1.874 0.467
Ho 10.830 -1.874 4.821
Cu 8.734 1.963 2.644
Cu 6.754 -1.963 7.932
W 5.228 0.695 2.262
W 5.034 1.061 9.607
W 8.474 1.061 6.258
W 3.248 -0.695 7.550
W 12.240 0.695 3.026
W 7.014 -1.061 4.318
W 10.454 -1.061 0.970
W 10.260 -0.695 8.315
O 2.022 0.544 0.785
O 6.519 1.938 1.852
O 1.912 0.956 8.084
O 6.995 2.150 6.564
O 6.513 2.150 9.301
O 0.042 -0.544 6.074
O 2.995 0.134 5.862
O 4.748 0.748 7.698
O 5.600 0.514 4.208
O 10.949 1.938 3.437
O 4.974 -0.134 0.574
O 9.164 0.655 0.943
O 8.304 0.655 4.345
O 3.891 -0.956 2.795
O 3.620 -0.514 9.496
O 8.760 0.748 8.167
O 6.728 -0.748 2.409
O 11.868 0.514 1.080
O 11.597 0.956 7.781
O 7.184 -0.655 6.231
O 6.324 -0.655 9.634
O 10.514 0.134 10.003
O 4.539 -1.938 7.140
O 9.888 -0.514 6.369
O 10.740 -0.748 2.879
O 12.494 -0.134 4.714
O 15.446 0.544 4.503
O 8.975 -2.150 1.276
O 8.493 -2.150 4.012
O 13.577 -0.956 2.493
O 8.970 -1.938 8.725
O 13.466 -0.544 9.791
```

Values from the calculation:
* total moment: 2.00 μB/cell
* raw total energy: -7.511 eV per atom
* energy of formation from the pure elements: -2488 meV per atom
* symmetry: C2/c, No. 15

No. 4
An optimized crystal structure of InCuMo2O8. Source: the Materials Project, functional GGA+U.

The structure in extended XYZ format:
```
24
Lattice="4.851 -5.859 0.000 4.851 5.859 0.000 -0.098 0.000 5.051" Properties=species:S:1:pos:R:3 pbc="T T T"
In 4.778 4.043 3.788
In 4.827 -4.043 1.263
Cu 4.827 1.858 1.263
Cu 4.778 -1.858 3.788
Mo 2.437 1.060 3.737
Mo 2.486 -1.060 1.212
Mo 7.119 1.060 3.839
Mo 7.168 -1.060 1.314
O 3.573 3.671 2.021
O 1.386 0.582 0.234
O 3.598 2.210 4.535
O 1.337 -0.582 2.759
O 3.426 0.624 2.168
O 6.080 3.671 0.504
O 3.377 -0.624 4.694
O 5.958 2.210 3.041
O 3.646 -2.210 2.010
O 6.227 0.624 0.357
O 3.524 -3.671 4.546
O 6.178 -0.624 2.882
O 8.268 0.582 2.291
O 6.007 -2.210 0.515
O 8.219 -0.582 4.817
O 6.031 -3.671 3.030
```

Values from the calculation:
* total moment: 0.00 μB/cell
* raw total energy: -6.469 eV per atom
* energy of formation from the pure elements: -1783 meV per atom
* symmetry: C2/c, No. 15

No. 5
An optimized crystal structure of InCuW2O8. Source: the Materials Project, functional GGA+U.

The structure in extended XYZ format:
```
24
Lattice="4.886 -5.920 0.000 4.886 5.920 0.000 -0.198 0.000 5.080" Properties=species:S:1:pos:R:3 pbc="T T T"
In 4.737 3.937 3.810
In 4.836 -3.937 1.270
Cu 4.836 1.779 1.270
Cu 4.737 -1.779 3.810
W 2.346 1.010 3.840
W 2.445 -1.010 1.300
W 7.129 1.010 3.780
W 7.227 -1.010 1.240
O 3.557 3.753 2.017
O 1.391 0.629 0.344
O 3.545 2.202 4.597
O 1.293 -0.629 2.884
O 3.379 0.595 2.257
O 6.116 3.753 0.523
O 3.280 -0.595 4.797
O 5.930 2.202 3.023
O 3.644 -2.202 2.057
O 6.293 0.595 0.283
O 3.458 -3.753 4.557
O 6.194 -0.595 2.823
O 8.281 0.629 2.196
O 6.029 -2.202 0.483
O 8.182 -0.629 4.736
O 6.017 -3.753 3.063
```

Values from the calculation:
* total moment: 0.00 μB/cell
* raw total energy: -6.748 eV per atom
* energy of formation from the pure elements: -1916 meV per atom
* symmetry: C2/c, No. 15

No. 6
An optimized crystal structure of KMg2V3Cu2O12. Source: the Materials Project, functional GGA+U.

The structure in extended XYZ format:
```
40
Lattice="6.127 -6.375 0.000 6.127 6.375 0.000 -2.738 0.000 6.577" Properties=species:S:1:pos:R:3 pbc="T T T"
K 4.074 6.288 4.932
K 5.443 -6.288 1.644
Mg 0.905 2.042 4.090
Mg 2.274 -2.042 0.802
Mg 7.242 2.042 5.775
Mg 8.611 -2.042 2.486
V 2.556 1.542 0.781
V 4.074 2.758 4.932
V 1.187 -1.542 4.069
V 8.329 1.542 2.508
V 5.443 -2.758 1.644
V 6.961 -1.542 5.796
Cu 5.443 2.985 1.644
Cu 4.074 0.087 4.932
Cu 5.443 -0.087 1.644
Cu 4.074 -2.985 4.932
O 3.876 4.137 0.825
O 1.792 2.392 2.101
O 4.193 3.729 3.508
O 0.528 0.029 4.018
O 1.897 -0.029 0.730
O 3.954 3.729 6.357
O 2.782 1.528 4.815
O 4.304 1.395 1.161
O 7.009 4.137 2.463
O 0.423 -2.392 5.389
O 5.365 1.528 5.050
O 2.936 -1.395 4.449
O 6.581 1.395 2.128
O 4.151 -1.528 1.527
O 9.093 2.392 1.188
O 2.507 -4.137 4.114
O 5.212 -1.395 5.416
O 6.734 -1.528 1.761
O 5.562 -3.729 0.219
O 7.619 0.029 5.847
O 8.988 -0.029 2.558
O 5.323 -3.729 3.069
O 7.725 -2.392 4.476
O 5.640 -4.137 5.751
```

Values from the calculation:
* total moment: 4.00 μB/cell
* raw total energy: -6.528 eV per atom
* energy of formation from the pure elements: -2238 meV per atom
* symmetry: C2/c, No. 15

No. 7
An optimized crystal structure of KMgV3Cu4O13. Source: the Materials Project, functional GGA+U.

The structure in extended XYZ format:
```
44
Lattice="8.376 0.000 0.000 0.000 6.084 0.000 -1.583 0.000 10.858" Properties=species:S:1:pos:R:3 pbc="T T T"
K -0.479 1.521 4.345
K 7.272 4.563 6.513
Mg 1.561 1.521 7.000
Mg 5.232 4.563 3.858
V -0.071 4.563 2.273
V 1.333 4.563 9.449
V 2.274 4.563 5.464
V 4.520 1.521 5.394
V 5.460 1.521 1.409
V 6.865 1.521 8.585
Cu 0.659 1.521 1.137
Cu 1.487 1.521 10.237
Cu 2.923 0.008 2.509
Cu 2.923 3.034 2.509
Cu 3.871 3.050 8.350
Cu 3.871 6.076 8.350
Cu 5.306 4.563 0.621
Cu 6.134 4.563 9.722
O -0.459 1.521 7.254
O -0.498 1.521 10.049
O -0.363 4.563 9.406
O 0.978 3.142 2.400
O 0.978 5.984 2.400
O 1.313 3.162 5.743
O 1.313 5.964 5.743
O 2.665 1.521 1.320
O 1.908 0.019 8.670
O 1.908 3.023 8.670
O 3.392 4.563 0.255
O 3.113 4.563 3.717
O 3.283 1.521 4.236
O 3.511 4.563 6.622
O 3.680 1.521 7.142
O 3.402 1.521 10.603
O 4.886 3.061 2.189
O 4.886 6.065 2.189
O 4.128 4.563 9.539
O 5.480 0.120 5.115
O 5.480 2.922 5.115
O 5.816 0.100 8.458
O 5.816 2.942 8.458
O 7.156 1.521 1.452
O 7.291 4.563 0.810
O 7.252 4.563 3.605
```

Values from the calculation:
* total moment: 4.00 μB/cell
* raw total energy: -6.293 eV per atom
* energy of formation from the pure elements: -1900 meV per atom
* symmetry: P2_1/m, No. 11

No. 8
An optimized crystal structure of KMg3V3CuO12. Source: the Materials Project, functional GGA+U.

The structure in extended XYZ format:
```
40
Lattice="6.158 -6.438 0.000 6.158 6.438 0.000 -2.569 0.000 6.471" Properties=species:S:1:pos:R:3 pbc="T T T"
K 4.231 6.245 4.853
K 5.516 -6.245 1.618
Mg 1.038 2.078 4.046
Mg 5.516 3.098 1.618
Mg 2.323 -2.078 0.810
Mg 7.424 2.078 5.661
Mg 4.231 -3.098 4.853
Mg 8.709 -2.078 2.426
V 2.592 1.500 0.789
V 4.231 2.728 4.853
V 1.308 -1.500 4.025
V 8.439 1.500 2.446
V 5.516 -2.728 1.618
V 7.155 -1.500 5.682
Cu 4.231 0.036 4.853
Cu 5.516 -0.036 1.618
O 3.889 4.222 0.787
O 1.817 2.401 2.081
O 0.625 0.068 3.965
O 4.365 3.661 3.376
O 1.910 -0.068 0.730
O 4.097 3.661 6.330
O 2.943 1.532 4.738
O 4.320 1.399 1.147
O 7.143 4.222 2.448
O 0.533 -2.401 5.316
O 5.520 1.532 4.969
O 3.036 -1.399 4.382
O 6.712 1.399 2.089
O 4.227 -1.532 1.503
O 9.214 2.401 1.155
O 2.604 -4.222 4.023
O 5.427 -1.399 5.325
O 6.804 -1.532 1.733
O 5.650 -3.661 0.141
O 7.838 0.068 5.742
O 5.382 -3.661 3.095
O 9.122 -0.068 2.506
O 7.930 -2.401 4.391
O 5.858 -4.222 5.684
```

Values from the calculation:
* total moment: 2.00 μB/cell
* raw total energy: -6.665 eV per atom
* energy of formation from the pure elements: -2500 meV per atom
* symmetry: C2/c, No. 15

- Among the records above, which one has the lowest raw total energy?
  Ho5CuW8O32